#i
# LiBi2P3O12, relaxed, DFT PBE-GGA
data_LiBi2P3O12
_chemical_formula_sum 'Li4 Bi8 P12 O48'
_cell_length_a 8.9398
_cell_length_b 9.3412
_cell_length_c 12.7821
_cell_angle_alpha 90.00
_cell_angle_beta 90.53
_cell_angle_gamma 90.00
_symmetry_space_group_name_H-M 'P 1'
_symmetry_Int_Tables_number 1
_symmetry_space_group_name_Hall 'P 1'
loop_
_atom_site_label
_atom_site_fract_x
_atom_site_fract_y
_atom_site_fract_z
_atom_site_occupancy
Li1 0.1722 0.0000 0.3978 1
Li2 0.1796 0.4166 0.0611 1
Li3 0.8204 0.9166 0.9389 1
Li4 0.8278 0.5000 0.6022 1
Bi1 0.0011 0.0325 0.6395 1
Bi2 0.0095 0.9579 0.1447 1
Bi3 0.4761 0.9751 0.8617 1
Bi4 0.4837 0.5399 0.6441 1
Bi5 0.5163 0.0399 0.3559 1
Bi6 0.5239 0.4751 0.1383 1
Bi7 0.9905 0.4579 0.8553 1
Bi8 0.9989 0.5325 0.3605 1
P1 0.1315 0.1256 0.9172 1
P2 0.1368 0.3896 0.6012 1
P3 0.2073 0.2447 0.2532 1
P4 0.2986 0.7566 0.2457 1
P5 0.3465 0.6076 0.8964 1
P6 0.3593 0.8854 0.5813 1
P7 0.6407 0.3854 0.4187 1
P8 0.6535 0.1076 0.1036 1
P9 0.7014 0.2566 0.7543 1
P10 0.7927 0.7447 0.7468 1
P11 0.8632 0.8896 0.3988 1
P12 0.8685 0.6256 0.0828 1
O1 0.0112 0.4364 0.6824 1
O2 0.0133 0.0303 0.9772 1
O3 0.0674 0.3022 0.3064 1
O4 0.0997 0.1095 0.8011 1
O5 0.1066 0.2360 0.5660 1
O6 0.1094 0.2885 0.9484 1
O7 0.1268 0.5004 0.5137 1
O8 0.1637 0.1318 0.1668 1
O9 0.1865 0.5984 0.8435 1
O10 0.2032 0.9275 0.5384 1
O11 0.2042 0.8166 0.1495 1
O12 0.2113 0.6452 0.3077 1
O13 0.2906 0.0864 0.9514 1
O14 0.2911 0.3592 0.1901 1
O15 0.2935 0.3938 0.6572 1
O16 0.3010 0.1718 0.3436 1
O17 0.3337 0.8813 0.3252 1
O18 0.3537 0.5084 0.9930 1
O19 0.3718 0.7188 0.5637 1
O20 0.3734 0.7645 0.9247 1
O21 0.3771 0.9217 0.6972 1
O22 0.4418 0.6997 0.1971 1
O23 0.4668 0.5561 0.8157 1
O24 0.4843 0.9676 0.5196 1
O25 0.5157 0.4676 0.4804 1
O26 0.5332 0.0561 0.1843 1
O27 0.5582 0.1997 0.8029 1
O28 0.6229 0.4217 0.3028 1
O29 0.6266 0.2645 0.0753 1
O30 0.6282 0.2188 0.4363 1
O31 0.6463 0.0084 0.0070 1
O32 0.6663 0.3813 0.6748 1
O33 0.6990 0.6718 0.6564 1
O34 0.7065 0.8938 0.3428 1
O35 0.7094 0.5864 0.0486 1
O36 0.7089 0.8592 0.8099 1
O37 0.7887 0.1452 0.6923 1
O38 0.7958 0.3166 0.8505 1
O39 0.7968 0.4275 0.4616 1
O40 0.8135 0.0984 0.1565 1
O41 0.8363 0.6318 0.8332 1
O42 0.8732 0.0004 0.4863 1
O43 0.8906 0.7885 0.0516 1
O44 0.8934 0.7360 0.4340 1
O45 0.9003 0.6095 0.1989 1
O46 0.9326 0.8022 0.6936 1
O47 0.9867 0.5303 0.0228 1
O48 0.9888 0.9364 0.3176 1
# ρ ... 4.42 g/cm³
# Symmetry ... P2_1 (4)

#ii
# LiBi2P3O12, relaxed, DFT PBE-GGA
data_LiBi2P3O12
_chemical_formula_sum 'Li2 Bi4 P6 O24'
_cell_length_a 8.7715
_cell_length_b 8.7869
_cell_length_c 9.6762
_cell_angle_alpha 63.04
_cell_angle_beta 89.73
_cell_angle_gamma 60.15
_symmetry_space_group_name_H-M 'P 1'
_symmetry_Int_Tables_number 1
_symmetry_space_group_name_Hall 'P 1'
loop_
_atom_site_label
_atom_site_fract_x
_atom_site_fract_y
_atom_site_fract_z
_atom_site_occupancy
Li1 0.2421 0.1964 0.1217 1
Li2 0.7579 0.8036 0.8783 1
Bi1 0.1627 0.6945 0.9666 1
Bi2 0.3519 0.2995 0.5648 1
Bi3 0.6481 0.7005 0.4352 1
Bi4 0.8373 0.3055 0.0334 1
P1 0.0485 0.5007 0.7643 1
P2 0.2387 0.8131 0.2412 1
P3 0.4531 0.7927 0.7540 1
P4 0.5469 0.2073 0.2460 1
P5 0.7613 0.1869 0.7588 1
P6 0.9515 0.4993 0.2357 1
O1 0.9997 0.3328 0.1884 1
O2 0.0003 0.6672 0.8116 1
O3 0.0267 0.9752 0.1901 1
O4 0.0540 0.3143 0.9140 1
O5 0.1016 0.3945 0.3863 1
O6 0.2433 0.4031 0.7502 1
O7 0.2862 0.6293 0.4049 1
O8 0.2920 0.7516 0.1095 1
O9 0.3418 0.6915 0.8136 1
O10 0.3483 0.9049 0.2462 1
O11 0.3499 0.3523 0.1155 1
O12 0.3687 0.9970 0.7459 1
O13 0.4726 0.8063 0.5931 1
O14 0.5274 0.1937 0.4069 1
O15 0.6313 0.0030 0.2541 1
O16 0.6501 0.6477 0.8845 1
O17 0.6517 0.0951 0.7538 1
O18 0.6582 0.3085 0.1864 1
O19 0.7080 0.2484 0.8905 1
O20 0.7138 0.3707 0.5951 1
O21 0.7567 0.5969 0.2498 1
O22 0.8984 0.6055 0.6137 1
O23 0.9460 0.6857 0.0860 1
O24 0.9733 0.0248 0.8099 1
# ρ ... 4.27 g/cm³
# Symmetry ... P-1 (2)

Most stable pick: #ii. Distance to second place: 0.9 kJ/mol of atoms.

#i
# LiSm3BiRu4O14, relaxed, DFT PBE-GGA
data_LiSm3BiRu4O14
_chemical_formula_sum 'Li1 Sm3 Bi1 Ru4 O14'
_cell_length_a 7.3640
_cell_length_b 7.3640
_cell_length_c 7.3640
_cell_angle_alpha 60.42
_cell_angle_beta 60.42
_cell_angle_gamma 60.42
_symmetry_space_group_name_H-M 'P 1'
_symmetry_Int_Tables_number 1
_symmetry_space_group_name_Hall 'P 1'
loop_
_atom_site_label
_atom_site_fract_x
_atom_site_fract_y
_atom_site_fract_z
_atom_site_occupancy
Li1 0.0000 0.0000 0.0000 1
Sm1 0.3764 0.3764 0.8740 1
Sm2 0.3764 0.8740 0.3764 1
Sm3 0.8740 0.3764 0.3764 1
Bi1 0.3756 0.3756 0.3756 1
Ru1 0.3908 0.8701 0.8701 1
Ru2 0.8694 0.8694 0.8694 1
Ru3 0.8701 0.3908 0.8701 1
Ru4 0.8701 0.8701 0.3908 1
O1 0.2061 0.2061 0.7928 1
O2 0.2061 0.7928 0.2061 1
O3 0.2088 0.7913 0.7913 1
O4 0.2479 0.2479 0.2479 1
O5 0.5020 0.5020 0.5020 1
O6 0.5455 0.9550 0.9550 1
O7 0.5477 0.5477 0.9521 1
O8 0.5477 0.9521 0.5477 1
O9 0.7913 0.2088 0.7913 1
O10 0.7913 0.7913 0.2088 1
O11 0.7928 0.2061 0.2061 1
O12 0.9521 0.5477 0.5477 1
O13 0.9550 0.5455 0.9550 1
O14 0.9550 0.9550 0.5455 1
# ρ ... 7.55 g/cm³
# Symmetry ... R3m (160)

#ii
# LiSm3BiRu4O14, relaxed, DFT PBE-GGA
data_LiSm3BiRu4O14
_chemical_formula_sum 'Li1 Sm3 Bi1 Ru4 O14'
_cell_length_a 7.3388
_cell_length_b 7.3388
_cell_length_c 7.3383
_cell_angle_alpha 118.83
_cell_angle_beta 118.83
_cell_angle_gamma 61.19
_symmetry_space_group_name_H-M 'P 1'
_symmetry_Int_Tables_number 1
_symmetry_space_group_name_Hall 'P 1'
loop_
_atom_site_label
_atom_site_fract_x
_atom_site_fract_y
_atom_site_fract_z
_atom_site_occupancy
Li1 0.0000 0.0000 0.0000 1
Sm1 0.2769 0.2769 0.2406 1
Sm2 0.2773 0.7604 0.7235 1
Sm3 0.7604 0.2773 0.7235 1
Bi1 0.2652 0.2652 0.7364 1
Ru1 0.2710 0.7610 0.2396 1
Ru2 0.7610 0.2710 0.2396 1
Ru3 0.7609 0.7609 0.2396 1
Ru4 0.7610 0.7610 0.7294 1
O1 0.0970 0.0970 0.3156 1
O2 0.0971 0.6848 0.9035 1
O3 0.1013 0.6772 0.3232 1
O4 0.1199 0.1199 0.8809 1
O5 0.3877 0.3877 0.6133 1
O6 0.4338 0.4338 0.1533 1
O7 0.4338 0.8472 0.5668 1
O8 0.4378 0.8411 0.1594 1
O9 0.6772 0.1013 0.3232 1
O10 0.6772 0.6772 0.8993 1
O11 0.6848 0.0971 0.9035 1
O12 0.8411 0.4378 0.1594 1
O13 0.8412 0.8412 0.5627 1
O14 0.8472 0.4338 0.5668 1
# ρ ... 7.50 g/cm³
# Symmetry ... Cm (8)

Most stable pick: #i. Distance to second place: 1.2 kJ/mol of atoms.

#i
# LiY4Bi4O12, relaxed, DFT PBE-GGA
data_LiY4Bi4O12
_chemical_formula_sum 'Li1 Y4 Bi4 O12'
_cell_length_a 5.9668
_cell_length_b 6.0726
_cell_length_c 9.4407
_cell_angle_alpha 87.61
_cell_angle_beta 88.65
_cell_angle_gamma 85.95
_symmetry_space_group_name_H-M 'P 1'
_symmetry_Int_Tables_number 1
_symmetry_space_group_name_Hall 'P 1'
loop_
_atom_site_label
_atom_site_fract_x
_atom_site_fract_y
_atom_site_fract_z
_atom_site_occupancy
Li1 0.0000 0.0000 0.0000 1
Y1 0.3684 0.7057 0.8149 1
Y2 0.3794 0.6894 0.2682 1
Y3 0.7760 0.2032 0.7503 1
Y4 0.8255 0.1316 0.3225 1
Bi1 0.2783 0.1431 0.5473 1
Bi2 0.4345 0.1426 0.0619 1
Bi3 0.8175 0.6754 0.5623 1
Bi4 0.8876 0.5615 0.0235 1
O1 0.0431 0.4973 0.8210 1
O2 0.1154 0.9948 0.7346 1
O3 0.1521 0.9018 0.4020 1
O4 0.2410 0.7699 0.0506 1
O5 0.5080 0.3444 0.2718 1
O6 0.5359 0.4889 0.6454 1
O7 0.5770 0.9473 0.6514 1
O8 0.5969 0.4173 0.9303 1
O9 0.6846 0.8008 0.3533 1
O10 0.6996 0.9410 0.9312 1
O11 0.9147 0.3005 0.5132 1
O12 0.9955 0.2340 0.1271 1
# ρ ... 6.77 g/cm³
# Symmetry ... P1 (1)

#ii
# LiY4Bi4O12, relaxed, DFT PBE-GGA
data_LiY4Bi4O12
_chemical_formula_sum 'Li1 Y4 Bi4 O12'
_cell_length_a 5.5870
_cell_length_b 10.1485
_cell_length_c 5.9314
_cell_angle_alpha 90.00
_cell_angle_beta 90.11
_cell_angle_gamma 90.00
_symmetry_space_group_name_H-M 'P 1'
_symmetry_Int_Tables_number 1
_symmetry_space_group_name_Hall 'P 1'
loop_
_atom_site_label
_atom_site_fract_x
_atom_site_fract_y
_atom_site_fract_z
_atom_site_occupancy
Li1 0.0000 0.0000 0.0000 1
Y1 0.0916 0.0000 0.4367 1
Y2 0.4969 0.0000 0.8804 1
Y3 0.6134 0.5000 0.8228 1
Y4 0.9950 0.5000 0.3373 1
Bi1 0.1162 0.3081 0.8499 1
Bi2 0.1162 0.6919 0.8499 1
Bi3 0.5706 0.2230 0.3386 1
Bi4 0.5706 0.7770 0.3386 1
O1 0.2490 0.1362 0.1138 1
O2 0.2490 0.8638 0.1138 1
O3 0.2743 0.5000 0.0549 1
O4 0.2862 0.5000 0.5985 1
O5 0.3403 0.1404 0.6197 1
O6 0.3403 0.8596 0.6197 1
O7 0.7347 0.0000 0.2207 1
O8 0.8042 0.3588 0.0721 1
O9 0.8042 0.6412 0.0721 1
O10 0.8162 0.3564 0.5871 1
O11 0.8162 0.6436 0.5871 1
O12 0.8546 0.0000 0.7260 1
# ρ ... 6.87 g/cm³
# Symmetry ... Pm (6)

Most stable pick: #i. Distance to second place: 1.2 kJ/mol of atoms.

#i
# Li5BiS4, relaxed, DFT PBE-GGA
data_Li5BiS4
_chemical_formula_sum 'Li40 Bi8 S32'
_cell_length_a 16.6200
_cell_length_b 16.6200
_cell_length_c 5.9391
_cell_angle_alpha 90.00
_cell_angle_beta 90.00
_cell_angle_gamma 90.00
_symmetry_space_group_name_H-M 'P 1'
_symmetry_Int_Tables_number 1
_symmetry_space_group_name_Hall 'P 1'
loop_
_atom_site_label
_atom_site_fract_x
_atom_site_fract_y
_atom_site_fract_z
_atom_site_occupancy
Li1 0.0104 0.5104 0.2500 1
Li2 0.0104 0.9896 0.2500 1
Li3 0.1116 0.1369 0.1869 1
Li4 0.1116 0.3631 0.1869 1
Li5 0.1222 0.6222 0.7500 1
Li6 0.1222 0.8778 0.7500 1
Li7 0.1369 0.1116 0.6869 1
Li8 0.1369 0.3884 0.6869 1
Li9 0.2500 0.2500 0.1636 1
Li10 0.2500 0.2500 0.6636 1
Li11 0.2500 0.7500 0.2500 1
Li12 0.2500 0.7500 0.7500 1
Li13 0.3631 0.1116 0.6869 1
Li14 0.3631 0.3884 0.6869 1
Li15 0.3778 0.6222 0.7500 1
Li16 0.3778 0.8778 0.7500 1
Li17 0.3884 0.1369 0.1869 1
Li18 0.3884 0.3631 0.1869 1
Li19 0.4896 0.5104 0.2500 1
Li20 0.4896 0.9896 0.2500 1
Li21 0.5104 0.0104 0.7500 1
Li22 0.5104 0.4896 0.7500 1
Li23 0.6116 0.6369 0.8131 1
Li24 0.6116 0.8631 0.8131 1
Li25 0.6222 0.1222 0.2500 1
Li26 0.6222 0.3778 0.2500 1
Li27 0.6369 0.6116 0.3131 1
Li28 0.6369 0.8884 0.3131 1
Li29 0.7500 0.2500 0.2500 1
Li30 0.7500 0.2500 0.7500 1
Li31 0.7500 0.7500 0.3364 1
Li32 0.7500 0.7500 0.8364 1
Li33 0.8631 0.6116 0.3131 1
Li34 0.8631 0.8884 0.3131 1
Li35 0.8778 0.1222 0.2500 1
Li36 0.8778 0.3778 0.2500 1
Li37 0.8884 0.6369 0.8131 1
Li38 0.8884 0.8631 0.8131 1
Li39 0.9896 0.0104 0.7500 1
Li40 0.9896 0.4896 0.7500 1
Bi1 0.0176 0.7500 0.2858 1
Bi2 0.2500 0.5176 0.2142 1
Bi3 0.2500 0.9824 0.2142 1
Bi4 0.4824 0.7500 0.2858 1
Bi5 0.5176 0.2500 0.7142 1
Bi6 0.7500 0.0176 0.7858 1
Bi7 0.7500 0.4824 0.7858 1
Bi8 0.9824 0.2500 0.7142 1
S1 0.0091 0.1149 0.4710 1
S2 0.0091 0.3851 0.4710 1
S3 0.1149 0.0091 0.9710 1
S4 0.1149 0.4909 0.9710 1
S5 0.1320 0.2500 0.9129 1
S6 0.1318 0.7500 0.9757 1
S7 0.2500 0.1320 0.4129 1
S8 0.2500 0.3680 0.4129 1
S9 0.2500 0.6318 0.5243 1
S10 0.2500 0.8682 0.5243 1
S11 0.3680 0.2500 0.9129 1
S12 0.3682 0.7500 0.9757 1
S13 0.3851 0.0091 0.9710 1
S14 0.3851 0.4909 0.9710 1
S15 0.4909 0.1149 0.4710 1
S16 0.4909 0.3851 0.4710 1
S17 0.5091 0.6149 0.5290 1
S18 0.5091 0.8851 0.5290 1
S19 0.6149 0.5091 0.0290 1
S20 0.6149 0.9909 0.0290 1
S21 0.6318 0.2500 0.0243 1
S22 0.6320 0.7500 0.0871 1
S23 0.7500 0.1318 0.4757 1
S24 0.7500 0.3682 0.4757 1
S25 0.7500 0.6320 0.5871 1
S26 0.7500 0.8680 0.5871 1
S27 0.8682 0.2500 0.0243 1
S28 0.8680 0.7500 0.0871 1
S29 0.8851 0.5091 0.0290 1
S30 0.8851 0.9909 0.0290 1
S31 0.9909 0.6149 0.5290 1
S32 0.9909 0.8851 0.5290 1
# ρ ... 3.01 g/cm³
# Symmetry ... P4_2/nmc (137)

#ii
# Li5BiS4, relaxed, DFT PBE-GGA
data_Li5BiS4
_chemical_formula_sum 'Li40 Bi8 S32'
_cell_length_a 11.4088
_cell_length_b 11.7933
_cell_length_c 11.9954
_cell_angle_alpha 90.00
_cell_angle_beta 90.00
_cell_angle_gamma 90.00
_symmetry_space_group_name_H-M 'P 1'
_symmetry_Int_Tables_number 1
_symmetry_space_group_name_Hall 'P 1'
loop_
_atom_site_label
_atom_site_fract_x
_atom_site_fract_y
_atom_site_fract_z
_atom_site_occupancy
Li1 0.1165 0.1297 0.1466 1
Li2 0.1165 0.3703 0.6466 1
Li3 0.1252 0.5980 0.8524 1
Li4 0.1252 0.9020 0.3524 1
Li5 0.1312 0.6474 0.0929 1
Li6 0.1312 0.8526 0.5929 1
Li7 0.1419 0.6358 0.3630 1
Li8 0.1419 0.8642 0.8630 1
Li9 0.1481 0.1065 0.5998 1
Li10 0.1481 0.3935 0.0998 1
Li11 0.3519 0.6065 0.5998 1
Li12 0.3519 0.8935 0.0998 1
Li13 0.3581 0.1358 0.3630 1
Li14 0.3581 0.3642 0.8630 1
Li15 0.3688 0.1474 0.0929 1
Li16 0.3688 0.3526 0.5929 1
Li17 0.3748 0.0980 0.8524 1
Li18 0.3748 0.4020 0.3524 1
Li19 0.3835 0.6297 0.1466 1
Li20 0.3835 0.8703 0.6466 1
Li21 0.6165 0.1297 0.3534 1
Li22 0.6165 0.3703 0.8534 1
Li23 0.6252 0.5980 0.6476 1
Li24 0.6252 0.9020 0.1476 1
Li25 0.6312 0.6474 0.4071 1
Li26 0.6312 0.8526 0.9071 1
Li27 0.6419 0.6358 0.1370 1
Li28 0.6419 0.8642 0.6370 1
Li29 0.6481 0.1065 0.9002 1
Li30 0.6481 0.3935 0.4002 1
Li31 0.8519 0.6065 0.9002 1
Li32 0.8519 0.8935 0.4002 1
Li33 0.8581 0.1358 0.1370 1
Li34 0.8581 0.3642 0.6370 1
Li35 0.8688 0.1474 0.4071 1
Li36 0.8688 0.3526 0.9071 1
Li37 0.8748 0.0980 0.6476 1
Li38 0.8748 0.4020 0.1476 1
Li39 0.8835 0.6297 0.3534 1
Li40 0.8835 0.8703 0.8534 1
Bi1 0.0841 0.1506 0.8578 1
Bi2 0.0841 0.3494 0.3578 1
Bi3 0.4159 0.6506 0.8578 1
Bi4 0.4159 0.8494 0.3578 1
Bi5 0.5841 0.1506 0.6422 1
Bi6 0.5841 0.3494 0.1422 1
Bi7 0.9159 0.6506 0.6422 1
Bi8 0.9159 0.8494 0.1422 1
S1 0.0061 0.7350 0.9564 1
S2 0.0061 0.7650 0.4564 1
S3 0.0213 0.5286 0.2262 1
S4 0.0213 0.9714 0.7262 1
S5 0.2215 0.0270 0.9866 1
S6 0.2215 0.4730 0.4866 1
S7 0.2395 0.7305 0.7317 1
S8 0.2395 0.7695 0.2317 1
S9 0.2605 0.2305 0.7317 1
S10 0.2605 0.2695 0.2317 1
S11 0.2785 0.5270 0.9866 1
S12 0.2785 0.9730 0.4866 1
S13 0.4787 0.0286 0.2262 1
S14 0.4787 0.4714 0.7262 1
S15 0.4939 0.2350 0.9564 1
S16 0.4939 0.2650 0.4564 1
S17 0.5061 0.7350 0.5436 1
S18 0.5061 0.7650 0.0436 1
S19 0.5213 0.5286 0.2738 1
S20 0.5213 0.9714 0.7738 1
S21 0.7215 0.0270 0.5134 1
S22 0.7215 0.4730 0.0134 1
S23 0.7395 0.7305 0.7683 1
S24 0.7395 0.7695 0.2683 1
S25 0.7605 0.2305 0.7683 1
S26 0.7605 0.2695 0.2683 1
S27 0.7785 0.5270 0.5134 1
S28 0.7785 0.9730 0.0134 1
S29 0.9787 0.0286 0.2738 1
S30 0.9787 0.4714 0.7738 1
S31 0.9939 0.2350 0.5436 1
S32 0.9939 0.2650 0.0436 1
# ρ ... 3.06 g/cm³
# Symmetry ... Pbca (61)

Most stable pick: #ii. Distance to second place: 1.2 kJ/mol of atoms.